The following is a DFT calculation (PBE with a Hubbard U) of a geometry-optimized Mg3Al12FeSi4B4O36 structure.

Unit cell a=10.438 b=5.827 c=11.124 alpha=90.00 beta=90.03 gamma=90.00
Positions (direct):
1 Mg 0.000 0.000 0.000
2 Mg 0.185 0.500 0.438
3 Mg 0.500 0.500 0.938
4 Al 0.092 0.250 0.219
5 Al 0.092 0.250 0.719
6 Al 0.092 0.750 0.219
7 Al 0.092 0.750 0.719
8 Al 0.319 0.500 0.667
9 Al 0.366 0.500 0.167
10 Al 0.592 0.250 0.218
11 Al 0.592 0.250 0.720
12 Al 0.592 0.750 0.218
13 Al 0.592 0.750 0.720
14 Al 0.819 0.000 0.271
15 Al 0.866 0.000 0.771
16 Fe 0.685 0.000 0.501
17 Si 0.027 0.000 0.455
18 Si 0.158 0.500 0.983
19 Si 0.525 0.500 0.482
20 Si 0.659 0.000 0.955
21 B 0.341 0.000 0.719
22 B 0.343 0.000 0.219
23 B 0.841 0.500 0.219
24 B 0.844 0.500 0.719
25 O 0.045 0.000 0.819
26 O 0.066 0.000 0.599
27 O 0.086 0.228 0.390
28 O 0.086 0.772 0.390
29 O 0.099 0.272 0.048
30 O 0.099 0.728 0.048
31 O 0.119 0.500 0.839
32 O 0.140 0.500 0.619
33 O 0.211 0.500 0.241
34 O 0.214 0.000 0.216
35 O 0.273 0.204 0.720
36 O 0.273 0.796 0.720
37 O 0.317 0.500 0.007
38 O 0.367 0.500 0.507
39 O 0.412 0.204 0.220
40 O 0.412 0.796 0.220
41 O 0.471 0.000 0.715
42 O 0.474 0.500 0.741
43 O 0.545 0.500 0.119
44 O 0.566 0.500 0.339
45 O 0.585 0.275 0.549
46 O 0.585 0.725 0.549
47 O 0.599 0.228 0.890
48 O 0.599 0.772 0.890
49 O 0.619 0.000 0.098
50 O 0.639 0.000 0.316
51 O 0.710 0.000 0.699
52 O 0.714 0.500 0.722
53 O 0.773 0.296 0.218
54 O 0.773 0.704 0.218
55 O 0.817 0.000 0.931
56 O 0.870 0.000 0.429
57 O 0.912 0.296 0.718
58 O 0.912 0.704 0.718
59 O 0.971 0.500 0.223
60 O 0.974 0.000 0.196

Results
Symmetry: Pm, No. 6

=====

The following is a DFT calculation (PBE with a Hubbard U) of a geometry-optimized Mn5CuO12 structure.

Unit cell a=5.081 b=5.081 c=9.666 alpha=90.07 beta=90.07 gamma=120.16
Positions (direct):
1 Mn 0.000 0.000 0.000
2 Mn 0.167 0.833 0.500
3 Mn 0.333 0.667 0.000
4 Mn 0.667 0.333 0.000
5 Mn 0.833 0.167 0.500
6 Cu 0.500 0.500 0.500
7 O 0.000 0.334 0.099
8 O 0.000 0.666 0.901
9 O 0.163 0.500 0.600
10 O 0.166 0.166 0.401
11 O 0.333 0.333 0.901
12 O 0.334 0.000 0.099
13 O 0.500 0.163 0.600
14 O 0.500 0.837 0.400
15 O 0.666 0.000 0.901
16 O 0.667 0.667 0.099
17 O 0.834 0.834 0.599
18 O 0.837 0.500 0.400

Results
Symmetry: C2/m, No. 12

=====

The following is a DFT calculation (PBE with a Hubbard U) of a geometry-optimized Li6MnSn3P6O24 structure.

Unit cell a=8.607 b=8.640 c=8.655 alpha=64.14 beta=64.46 gamma=64.27
Positions (direct):
1 Li 0.000 0.000 0.000
2 Li 0.057 0.508 0.936
3 Li 0.271 0.849 0.634
4 Li 0.526 0.691 0.297
5 Li 0.726 0.390 0.170
6 Li 0.888 0.151 0.470
7 Mn 0.908 0.534 0.315
8 Sn 0.083 0.709 0.495
9 Sn 0.388 0.017 0.793
10 Sn 0.601 0.228 0.007
11 P 0.188 0.127 0.189
12 P 0.330 0.626 0.084
13 P 0.504 0.413 0.601
14 P 0.673 0.954 0.410
15 P 0.793 0.822 0.914
16 P 0.999 0.305 0.732
17 O 0.016 0.294 0.199
18 O 0.065 0.437 0.742
19 O 0.142 0.111 0.742
20 O 0.160 0.572 0.146
21 O 0.168 0.987 0.380
22 O 0.201 0.056 0.043
23 O 0.323 0.779 0.898
24 O 0.346 0.690 0.215
25 O 0.361 0.178 0.123
26 O 0.362 0.603 0.579
27 O 0.427 0.263 0.640
28 O 0.484 0.954 0.557
29 O 0.510 0.469 0.052
30 O 0.576 0.362 0.758
31 O 0.626 0.884 0.852
32 O 0.648 0.133 0.250
33 O 0.662 0.421 0.422
34 O 0.734 0.787 0.351
35 O 0.779 0.977 0.972
36 O 0.791 0.646 0.075
37 O 0.806 0.964 0.477
38 O 0.848 0.268 0.918
39 O 0.942 0.362 0.566
40 O 0.978 0.786 0.769

Results
Symmetry: P1, No. 1

=====

The following is a DFT calculation (PBE with a Hubbard U) of a geometry-optimized Li9Mn2Co5O16 structure.

Unit cell a=3.032 b=5.142 c=19.573 alpha=91.28 beta=93.00 gamma=104.59
Positions (direct):
1 Li 0.000 0.000 0.000
2 Li 0.067 0.306 0.814
3 Li 0.137 0.617 0.628
4 Li 0.265 0.250 0.252
5 Li 0.381 0.877 0.878
6 Li 0.505 0.495 0.502
7 Li 0.620 0.113 0.128
8 Li 0.754 0.737 0.751
9 Li 0.876 0.367 0.378
10 Mn 0.323 0.557 0.062
11 Mn 0.562 0.807 0.315
12 Co 0.196 0.932 0.442
13 Co 0.450 0.187 0.695
14 Co 0.679 0.428 0.933
15 Co 0.822 0.058 0.567
16 Co 0.942 0.682 0.189
17 O 0.009 0.827 0.098
18 O 0.017 0.179 0.910
19 O 0.112 0.436 0.718
20 O 0.174 0.790 0.532
21 O 0.247 0.074 0.350
22 O 0.311 0.419 0.155
23 O 0.363 0.692 0.971
24 O 0.408 0.031 0.773
25 O 0.456 0.313 0.602
26 O 0.559 0.670 0.407
27 O 0.572 0.944 0.223
28 O 0.646 0.298 0.026
29 O 0.728 0.584 0.855
30 O 0.764 0.923 0.656
31 O 0.834 0.197 0.476
32 O 0.876 0.539 0.280

Results
Symmetry: P1, No. 1
Relative energy among the computed polymorphs (meV per atom): 84

=====

The following is a DFT calculation (PBE with a Hubbard U) of a geometry-optimized Li2CoSiO4 structure.

Unit cell a=10.900 b=6.181 c=5.014 alpha=90.00 beta=90.00 gamma=90.00
Positions (direct):
1 Li 0.087 0.001 0.183
2 Li 0.087 0.499 0.183
3 Li 0.413 0.501 0.683
4 Li 0.413 0.999 0.683
5 Li 0.587 0.001 0.317
6 Li 0.587 0.499 0.317
7 Li 0.913 0.501 0.817
8 Li 0.913 0.999 0.817
9 Co 0.169 0.750 0.679
10 Co 0.331 0.250 0.179
11 Co 0.669 0.750 0.821
12 Co 0.831 0.250 0.321
13 Si 0.163 0.250 0.674
14 Si 0.337 0.750 0.174
15 Si 0.663 0.250 0.826
16 Si 0.837 0.750 0.326
17 O 0.091 0.031 0.783
18 O 0.091 0.469 0.783
19 O 0.164 0.250 0.344
20 O 0.192 0.750 0.280
21 O 0.308 0.250 0.780
22 O 0.336 0.750 0.844
23 O 0.409 0.531 0.283
24 O 0.409 0.969 0.283
25 O 0.591 0.031 0.717
26 O 0.591 0.469 0.717
27 O 0.664 0.250 0.156
28 O 0.692 0.750 0.220
29 O 0.808 0.250 0.720
30 O 0.836 0.750 0.656
31 O 0.909 0.531 0.217
32 O 0.909 0.969 0.217

Results
Symmetry: Pnma, No. 62
Relative energy among the computed polymorphs (meV per atom): 7

=====

no.,formation enthalpy at 0 K (eV per atom),raw total energy (eV/cell),ρ (g cm⁻³)
1,-3.253,-452.9,2.91
2,-1.558,-120.7,4.08
3,-2.514,-266.3,3.41
4,-1.780,-184.7,4.07
5,-2.508,-207.3,3.24